Model 1:
Pm2MgS4: relaxed, PBE-GGA.

Cell and atoms, written as POSCAR:
```
Pm2MgS4
1.0
8.1928 0.0000 0.0000
0.0000 7.2310 0.0000
0.0000 0.0000 11.6663
Pm Mg S
8 4 16
direct
0.0294 0.2500 0.1872
0.0860 0.7500 0.4684
0.4140 0.2500 0.9684
0.4706 0.7500 0.6872
0.5294 0.2500 0.3128
0.5860 0.7500 0.0316
0.9140 0.2500 0.5316
0.9706 0.7500 0.8128
0.1902 0.7500 0.0855
0.3098 0.2500 0.5855
0.6902 0.7500 0.4145
0.8098 0.2500 0.9145
0.0902 0.2500 0.9464
0.1416 0.5035 0.6549
0.1416 0.9965 0.6549
0.2059 0.2500 0.3910
0.2941 0.7500 0.8910
0.3584 0.0035 0.1549
0.3584 0.4965 0.1549
0.4098 0.7500 0.4464
0.5902 0.2500 0.5536
0.6416 0.5035 0.8451
0.6416 0.9965 0.8451
0.7059 0.2500 0.1090
0.7941 0.7500 0.6090
0.8584 0.0035 0.3451
0.8584 0.4965 0.3451
0.9098 0.7500 0.0536
```

Computed properties:
Crystal system: orthorhombic

=====

Model 2:
Pm2MgS4: relaxed, PBE-GGA.

Cell and atoms, written as POSCAR:
```
Pm2MgS4
1.0
12.9512 0.0000 0.0000
0.0000 7.7637 0.0000
0.0000 0.0000 12.9682
Pm Mg S
16 8 32
direct
0.1100 0.1153 0.0000
0.1275 0.6171 0.3577
0.1343 0.3706 0.6904
0.1352 0.8707 0.6916
0.3648 0.8707 0.1916
0.3657 0.3706 0.1904
0.3725 0.6171 0.8577
0.3900 0.1153 0.5000
0.6100 0.8847 0.0000
0.6275 0.3829 0.3577
0.6343 0.6294 0.6904
0.6352 0.1293 0.6916
0.8648 0.1293 0.1916
0.8657 0.6294 0.1904
0.8725 0.3829 0.8577
0.8900 0.8847 0.5000
0.1107 0.6153 0.9915
0.1258 0.1206 0.3640
0.3742 0.1206 0.8640
0.3893 0.6153 0.4915
0.6107 0.3847 0.9915
0.6258 0.8794 0.3640
0.8742 0.8794 0.8640
0.8893 0.3847 0.4915
0.0115 0.1195 0.8054
0.0235 0.6288 0.8168
0.0298 0.6197 0.5549
0.0448 0.1275 0.5447
0.2109 0.1205 0.1872
0.2111 0.6195 0.1609
0.2307 0.3685 0.9073
0.2334 0.8705 0.9090
0.2666 0.8705 0.4090
0.2693 0.3685 0.4073
0.2891 0.1205 0.6872
0.2889 0.6195 0.6609
0.4552 0.1275 0.0447
0.4702 0.6197 0.0549
0.4765 0.6288 0.3168
0.4885 0.1195 0.3054
0.5115 0.8805 0.8054
0.5235 0.3712 0.8168
0.5298 0.3803 0.5549
0.5448 0.8725 0.5447
0.7111 0.3805 0.1609
0.7109 0.8795 0.1872
0.7307 0.6315 0.9073
0.7334 0.1295 0.9090
0.7666 0.1295 0.4090
0.7693 0.6315 0.4073
0.7889 0.3805 0.6609
0.7891 0.8795 0.6872
0.9552 0.8725 0.0447
0.9702 0.3803 0.0549
0.9765 0.3712 0.3168
0.9885 0.8805 0.3054
```

Computed properties:
Crystal system: orthorhombic

=====

Name the most stable of them. model 2.

=====

Model 1:
PmMgSe3: relaxed, PBE-GGA.

Cell and atoms, written as POSCAR:
```
PmMgSe3
1.0
3.8790 -6.2569 0.0000
3.8790 6.2569 0.0000
-3.0674 0.0000 6.1119
Pm Mg Se
2 2 6
direct
0.1964 0.1964 0.3093
0.8036 0.8036 0.6907
0.3329 0.6671 0.0000
0.6671 0.3329 0.0000
0.1097 0.7669 0.2161
0.2331 0.8903 0.7839
0.4676 0.4676 0.7470
0.5324 0.5324 0.2530
0.7669 0.1097 0.2161
0.8903 0.2331 0.7839
```

Computed properties:
Crystal system: monoclinic

=====

Model 2:
PmMgSe3: relaxed, PBE-GGA.

Cell and atoms, written as POSCAR:
```
PmMgSe3
1.0
7.0005 0.0000 0.0000
-3.5002 6.0626 0.0000
0.0000 0.0000 19.6250
Mg Se Pm
6 18 6
direct
0.6667 0.3333 0.1699
0.3333 0.6667 0.8301
0.6667 0.3333 0.4968
0.0000 0.0000 0.1634
0.3333 0.6667 0.5032
0.0000 0.0000 0.8366
0.7070 0.0432 0.0832
0.2901 0.3304 0.7499
0.7099 0.6696 0.2501
0.6264 0.6235 0.5834
0.9568 0.6638 0.0832
0.3362 0.2930 0.0832
0.0432 0.3362 0.9168
0.0403 0.7099 0.7499
0.3304 0.0403 0.2501
0.9971 0.3736 0.5834
0.3736 0.3765 0.4166
0.6696 0.9597 0.7499
0.6235 0.9971 0.4166
0.2930 0.9568 0.9168
0.3765 0.0029 0.5834
0.6638 0.7070 0.9168
0.9597 0.2901 0.2501
0.0029 0.6264 0.4166
0.0000 0.0000 0.3511
0.3333 0.6667 0.0177
0.0000 0.0000 0.6489
0.6667 0.3333 0.9823
0.3333 0.6667 0.3156
0.6667 0.3333 0.6844
```

=====

Model 3:
PmMgSe3: relaxed, PBE-GGA.

Cell and atoms, written as POSCAR:
```
PmMgSe3
1.0
-5.7951 3.0192 5.5183
4.7037 -6.8894 8.7089
7.4017 1.8726 -2.5163
Se Mg Pm
12 4 4
direct
0.7631 0.6562 0.2518
0.2631 0.8438 0.2518
0.2369 0.6562 0.7482
0.1857 0.5000 0.3039
0.3143 0.0000 0.6961
0.6857 0.0000 0.3039
0.7631 0.3438 0.2518
0.2369 0.3438 0.7482
0.2631 0.1562 0.2518
0.7369 0.1562 0.7482
0.7369 0.8438 0.7482
0.8143 0.5000 0.6961
0.5000 0.1735 0.0000
0.0000 0.6735 0.0000
0.0000 0.3265 0.0000
0.5000 0.8265 0.0000
0.4287 0.5000 0.1559
0.9287 0.0000 0.1559
0.5713 0.5000 0.8441
0.0713 0.0000 0.8441
```

=====

Name the most stable of them. model 2.

=====

Model 1:
Pr2MgS4: relaxed, PBE-GGA.

Cell and atoms, written as POSCAR:
```
Pr2MgS4
1.0
0.0000 5.7808 5.7808
5.7808 0.0000 5.7808
5.7808 5.7808 0.0000
Pr Mg S
4 2 8
direct
0.0000 0.0000 0.0000
0.0000 0.0000 0.5000
0.0000 0.5000 0.0000
0.5000 0.0000 0.0000
0.3750 0.3750 0.3750
0.6250 0.6250 0.6250
0.2434 0.7522 0.7522
0.2478 0.2478 0.2478
0.2478 0.2478 0.7566
0.2478 0.7566 0.2478
0.7522 0.2434 0.7522
0.7522 0.7522 0.2434
0.7522 0.7522 0.7522
0.7566 0.2478 0.2478
```

Computed properties:
Crystal system: cubic

=====

Model 2:
Pr2MgS4: relaxed, PBE-GGA.

Cell and atoms, written as POSCAR:
```
Pr2MgS4
1.0
8.3197 0.0000 0.0000
0.0000 7.1355 0.0000
0.0000 0.0000 11.8587
Pr Mg S
8 4 16
direct
0.0297 0.2500 0.1837
0.0922 0.7500 0.4601
0.4078 0.2500 0.9601
0.4703 0.7500 0.6837
0.5297 0.2500 0.3163
0.5922 0.7500 0.0399
0.9078 0.2500 0.5399
0.9703 0.7500 0.8163
0.1958 0.7500 0.0813
0.3042 0.2500 0.5813
0.6958 0.7500 0.4187
0.8042 0.2500 0.9187
0.0824 0.2500 0.9410
0.1456 0.5081 0.6525
0.1456 0.9919 0.6525
0.2020 0.2500 0.3910
0.2980 0.7500 0.8910
0.3544 0.0081 0.1525
0.3544 0.4919 0.1525
0.4176 0.7500 0.4410
0.5824 0.2500 0.5590
0.6456 0.5081 0.8475
0.6456 0.9919 0.8475
0.7020 0.2500 0.1090
0.7980 0.7500 0.6090
0.8544 0.0081 0.3475
0.8544 0.4919 0.3475
0.9176 0.7500 0.0590
```

Computed properties:
Crystal system: orthorhombic

=====

Name the most stable of them. model 1.

=====

Model 1:
Pr2MgS4: relaxed, PBE-GGA.

Cell and atoms, written as POSCAR:
```
Pr2MgS4
1.0
7.6707 0.0000 0.0000
-0.1566 8.9409 0.0000
-1.3796 -2.1952 11.7207
Pr Mg S
8 4 16
direct
0.1317 0.4473 0.3350
0.1394 0.9710 0.3441
0.2535 0.1311 0.9980
0.3628 0.2946 0.6594
0.6372 0.7054 0.3406
0.7465 0.8689 0.0020
0.8606 0.0290 0.6559
0.8683 0.5527 0.6650
0.2501 0.6133 0.9935
0.3605 0.7929 0.6846
0.6395 0.2071 0.3154
0.7499 0.3867 0.0065
0.0949 0.4123 0.1047
0.1066 0.9067 0.1141
0.1996 0.5465 0.6022
0.2030 0.0062 0.6103
0.3009 0.7195 0.3796
0.3513 0.2277 0.3926
0.3836 0.8334 0.8905
0.4028 0.3605 0.8896
0.5972 0.6395 0.1104
0.6164 0.1666 0.1095
0.6487 0.7723 0.6074
0.6991 0.2805 0.6204
0.7970 0.9938 0.3897
0.8004 0.4535 0.3978
0.8934 0.0933 0.8859
0.9051 0.5877 0.8953
```

Computed properties:
Crystal system: triclinic

=====

Model 2:
Pr2MgS4: relaxed, PBE-GGA.

Cell and atoms, written as POSCAR:
```
Pr2MgS4
1.0
14.1264 0.0000 0.0000
0.0000 8.2967 0.0000
0.0000 0.0000 6.6773
Pr Mg S
8 4 16
direct
0.0000 0.0000 0.0000
0.0000 0.5000 0.0000
0.2304 0.2500 0.4981
0.2696 0.7500 0.9981
0.5000 0.0000 0.5000
0.5000 0.5000 0.5000
0.7304 0.2500 0.0019
0.7696 0.7500 0.5019
0.0925 0.7500 0.4228
0.4075 0.2500 0.9228
0.5925 0.7500 0.0772
0.9075 0.2500 0.5772
0.0656 0.2500 0.7411
0.0929 0.7500 0.7849
0.1673 0.5186 0.2511
0.1673 0.9814 0.2511
0.3327 0.0186 0.7511
0.3327 0.4814 0.7511
0.4071 0.2500 0.2849
0.4344 0.7500 0.2411
0.5656 0.2500 0.7589
0.5929 0.7500 0.7151
0.6673 0.5186 0.2489
0.6673 0.9814 0.2489
0.8327 0.0186 0.7489
0.8327 0.4814 0.7489
0.9071 0.2500 0.2151
0.9344 0.7500 0.2589
```

Computed properties:
Crystal system: orthorhombic

=====

Name the most stable of them. model 2.

=====

Model 1:
Rb2Mg: relaxed, PBE-GGA.

Cell and atoms, written as POSCAR:
```
Rb2Mg
1.0
7.6967 -2.3236 0.0000
7.6967 2.3236 0.0000
-4.1922 0.0000 10.3714
Rb Mg
4 2
direct
0.0176 0.0176 0.1910
0.3295 0.3295 0.3630
0.6705 0.6705 0.6370
0.9824 0.9824 0.8090
0.2982 0.2982 0.9570
0.7018 0.7018 0.0430
```

Computed properties:
Crystal system: monoclinic

=====

Model 2:
Rb2Mg: relaxed, PBE-GGA.

Cell and atoms, written as POSCAR:
```
Rb2Mg
1.0
9.7134 -2.2267 0.0000
9.7134 2.2267 0.0000
-2.3229 0.0000 8.6751
Rb Mg
4 2
direct
0.1194 0.1194 0.0618
0.1571 0.1571 0.5928
0.8429 0.8429 0.4072
0.8806 0.8806 0.9382
0.4977 0.4977 0.6756
0.5023 0.5023 0.3244
```

Computed properties:
Crystal system: monoclinic

=====

Model 3:
Rb2Mg: relaxed, PBE-GGA.

Cell and atoms, written as POSCAR:
```
Rb2Mg
1.0
-5.0025 5.0025 3.5813
5.0025 -5.0025 3.5813
5.0025 5.0025 -3.5813
Rb Mg
4 2
direct
0.1656 0.6656 0.8311
0.3344 0.1656 0.5000
0.6656 0.8344 0.5000
0.8344 0.3344 0.1689
0.2500 0.2500 0.0000
0.7500 0.7500 0.0000
```

Computed properties:
Crystal system: tetragonal

=====

Name the most stable of them. model 3.

=====

Model 1:
RbMg6Sn: relaxed, PBE-GGA.

Cell and atoms, written as POSCAR:
```
RbMg6Sn
1.0
-1.4506 -4.3461 -2.5103
5.8138 0.3571 -3.9779
6.0186 -6.7402 8.1913
Mg Sn Rb
12 2 2
direct
0.5000 0.7584 0.9187
0.0000 0.2164 0.0735
0.0000 0.0000 0.3324
0.0000 0.5000 0.8324
0.5000 0.5000 0.6614
0.0000 0.7164 0.5735
0.0000 0.7836 0.0735
0.5000 0.0000 0.1614
0.5000 0.2584 0.4187
0.5000 0.2416 0.9187
0.5000 0.7416 0.4187
0.0000 0.2836 0.5735
0.0000 0.0000 0.8542
0.0000 0.5000 0.3542
0.5000 0.5000 0.1675
0.5000 0.0000 0.6675
```

=====

Model 2:
RbMg6Sn: relaxed, PBE-GGA.

Cell and atoms, written as POSCAR:
```
RbMg6Sn
1.0
5.2730 0.0000 0.0000
0.0000 6.9585 0.0000
0.0000 0.0000 11.9671
Mg Sn Rb
12 2 2
direct
0.0000 0.0000 0.1506
0.0000 0.7290 0.4221
0.0000 0.0000 0.6643
0.5000 0.7562 0.0838
0.0000 0.2290 0.9221
0.5000 0.7438 0.5838
0.0000 0.5000 0.1643
0.0000 0.5000 0.6506
0.0000 0.7710 0.9221
0.5000 0.2562 0.5838
0.5000 0.2438 0.0838
0.0000 0.2710 0.4221
0.5000 0.5000 0.3383
0.5000 0.0000 0.8383
0.5000 0.5000 0.8349
0.5000 0.0000 0.3349
```

=====

Name the most stable of them. model 1.